No. 1
First-principles (GGA-PBE) data for a relaxed MgCu6OF11 crystal, as listed in the Materials Project database.

a = 5.4889 Å, b = 4.7938 Å, c = 9.2158 Å
α = 89.03°, β = 89.00°, γ = 90.77°
With the nearest neighbours (Å) after each atom.
Atoms (fractional coordinates):
Mg 0.6585 0.7763 0.4559  3 F 1.90-1.95, 1 O 2.03
Cu 0.0062 0.0146 0.9937  4 F 1.89-1.98
Cu 0.4728 0.5767 0.0496  3 F 1.97-2.05, 1 O 2.00
Cu 0.3373 0.9894 0.2809  3 F 1.94-2.07, 1 O 1.96
Cu 0.8465 0.4404 0.2729  4 F 1.94-2.11, 1 O 1.96
Cu 0.1601 0.5178 0.6907  4 F 1.89-1.99
Cu 0.6459 0.0061 0.7387  3 F 1.90-2.08
O 0.5589 0.6763 0.2525  3 Cu 1.96-2.00, 1 Mg 2.03
F 0.2738 0.2341 0.0763  2 Cu 1.97
F 0.0539 0.7674 0.2310  2 Cu 1.94-1.95
F 0.7825 0.2684 0.0735  2 Cu 1.89-2.06
F 0.1142 0.2535 0.3674  2 Cu 1.94
F 0.6188 0.1657 0.3960  1 Mg 1.95, 2 Cu 2.07-2.11
F 0.3995 0.7887 0.6020  1 Mg 1.94, 2 Cu 1.99-2.14
F 0.8876 0.7294 0.6066  1 Mg 1.90, 1 Cu 1.98
F 0.4293 0.3113 0.7562  2 Cu 1.89-1.90
F 0.2213 0.7454 0.9135  2 Cu 1.91-2.05
F 0.9403 0.2341 0.7631  2 Cu 1.91-1.96
F 0.7179 0.7962 0.9325  3 Cu 1.98-2.08

E_form in eV/atom: -1.825
Total DFT energy (no corrections) in eV/f.u.: -81.11
Excess energy over the best structure of this formula in the dataset in meV/atom: 116
Volume in Å³/cell: 242.4


No. 2
First-principles (GGA-PBE) data for a relaxed MgCu6OF11 crystal, as listed in the Materials Project database.

a = 5.4871 Å, b = 5.1497 Å, c = 8.4363 Å
α = 92.06°, β = 92.46°, γ = 82.97°
With the nearest neighbours (Å) after each atom.
Atoms (fractional coordinates):
Mg 0.3070 0.0127 0.8336  6 F 1.95-2.04
Cu 0.8574 0.8525 0.0738  3 F 1.95-2.13, 1 O 1.98
Cu 0.4345 0.5071 0.0861  3 F 1.89-2.11, 1 O 1.90
Cu 0.3733 0.0065 0.3128  1 O 1.91, 3 F 1.93-1.94
Cu 0.8300 0.4955 0.3236  1 O 1.96, 3 F 1.96-2.06
Cu 0.1818 0.4985 0.6383  4 F 1.96-2.02
Cu 0.7166 0.0145 0.6399  5 F 1.99-2.17
O 0.6009 0.7512 0.2095  4 Cu 1.90-1.98
F 0.2711 0.2101 0.0352  1 Cu 1.89, 1 Mg 1.95
F 0.1099 0.8023 0.2459  2 Cu 1.94-1.96
F 0.7544 0.2812 0.1206  3 Cu 2.00-2.24
F 0.1364 0.2847 0.3920  2 Cu 1.93-1.96
F 0.6275 0.1745 0.4250  2 Cu 1.93-2.03
F 0.3574 0.8061 0.6250  1 Cu 1.96, 1 Mg 2.03
F 0.8796 0.6855 0.5397  3 Cu 1.98-2.06
F 0.4724 0.2991 0.7369  2 Cu 1.96-2.03, 1 Mg 2.04
F 0.1721 0.7281 0.9392  1 Mg 1.98, 2 Cu 2.11-2.13
F 0.0139 0.2070 0.7230  1 Mg 2.00, 2 Cu 2.02-2.09
F 0.6663 0.8689 0.8734  2 Cu 1.95-2.17, 1 Mg 2.04

E_form in eV/atom: -1.941
Total DFT energy (no corrections) in eV/f.u.: -83.31
Excess energy over the best structure of this formula in the dataset in meV/atom: 0
Volume in Å³/cell: 236.3


No. 3
First-principles (GGA-PBE) data for a relaxed MgCu6O2F10 crystal, as listed in the Materials Project database.

a = 7.9449 Å, b = 5.1218 Å, c = 5.6452 Å
α = 95.16°, β = 92.96°, γ = 84.02°
With the nearest neighbours (Å) after each atom.
Atoms (fractional coordinates):
Mg 0.4960 0.9989 0.9799  5 F 1.96-2.06, 1 O 2.05
Cu 0.9891 0.0256 0.9798  1 O 1.83, 3 F 1.93-1.94
Cu 0.9854 0.4374 0.5422  1 O 1.88, 2 F 1.95-1.99
Cu 0.2985 0.9124 0.3776  3 F 1.92-2.15, 1 O 1.94
Cu 0.6512 0.5181 0.1711  1 O 1.93, 3 F 1.95-2.03
Cu 0.3143 0.5060 0.8648  1 O 1.93, 4 F 1.99-2.12
Cu 0.7093 0.0548 0.5839  1 O 1.83, 1 F 1.95
O 0.4230 0.6866 0.1372  3 Cu 1.93-1.94, 1 Mg 2.05
O 0.9053 0.1803 0.7116  3 Cu 1.83-1.88
F 0.2667 0.1716 0.0304  1 Mg 1.96, 1 Cu 2.10
F 0.0738 0.8523 0.2594  2 Cu 1.92-1.94
F 0.2276 0.2920 0.5574  3 Cu 1.99-2.15
F 0.1015 0.7287 0.7904  2 Cu 1.94-1.99
F 0.5712 0.2014 0.2936  2 Cu 1.99-2.08, 1 Mg 2.06
F 0.4621 0.8474 0.6404  1 Cu 1.95, 1 Mg 2.02
F 0.8843 0.3138 0.1824  2 Cu 1.93-2.03
F 0.7846 0.6849 0.4962  2 Cu 1.95
F 0.5574 0.3002 0.8131  1 Mg 1.99, 2 Cu 2.06-2.12
F 0.7238 0.8015 0.0053  1 Cu 1.95, 1 Mg 1.98

E_form in eV/atom: -1.819
Total DFT energy (no corrections) in eV/f.u.: -83.80
Excess energy over the best structure of this formula in the dataset in meV/atom: 31
Volume in Å³/cell: 227.3